Density functional theory data (PBE+U) for an optimized crystal structure of FeH2C2O4.

a = 6.1215 Å, b = 6.1215 Å, c = 9.3588 Å
α = 121.63°, β = 121.63°, γ = 52.56°
Positions (direct):
Fe  0.1675  0.8325  0.7500
Fe  0.8325  0.1675  0.2500
H  0.0121  0.6756  0.7509
H  0.3244  0.9879  0.7491
H  0.6756  0.0121  0.2509
H  0.9879  0.3244  0.2491
C  0.2820  0.6163  0.1481
C  0.3837  0.7180  0.3519
C  0.6163  0.2820  0.6481
C  0.7180  0.3837  0.8519
O  0.0366  0.7886  0.0728
O  0.2114  0.9634  0.4272
O  0.3690  0.4528  0.5734
O  0.4528  0.3690  0.0734
O  0.5472  0.6310  0.9266
O  0.6310  0.5472  0.4266
O  0.7886  0.0366  0.5728
O  0.9634  0.2114  0.9272

Summary:
As for the calculated formation energy: -774 meV/atom. The space group is C2/c.

***

Density functional theory data (PBE+U) for an optimized crystal structure of Fe2P2H6C2O13.

a = 4.9563 Å, b = 17.8569 Å, c = 7.4893 Å
α = 90.00°, β = 108.87°, γ = 90.00°
Positions (direct):
Fe  0.0779  0.0000  0.3145
Fe  0.0786  0.8057  0.8144
Fe  0.9214  0.3057  0.1856
Fe  0.9221  0.5000  0.6855
P  0.2814  0.3410  0.8930
P  0.2818  0.4642  0.3941
P  0.7182  0.9642  0.6059
P  0.7186  0.8410  0.1070
H  0.2979  0.8527  0.5519
H  0.3054  0.5110  0.2493
H  0.3083  0.2940  0.7497
H  0.3126  0.9514  0.0570
H  0.3592  0.0399  0.0685
H  0.4085  0.7695  0.5957
H  0.5915  0.2695  0.4043
H  0.6408  0.5399  0.9315
H  0.6874  0.4514  0.9430
H  0.6917  0.7940  0.2503
H  0.6946  0.0110  0.7507
H  0.7021  0.3527  0.4481
C  0.1498  0.6458  0.8220
C  0.1524  0.1595  0.3205
C  0.8476  0.6595  0.6795
C  0.8502  0.1458  0.1780
O  0.1049  0.2963  0.9904
O  0.1065  0.5091  0.4916
O  0.1375  0.3914  0.3046
O  0.1388  0.4134  0.8012
O  0.2284  0.5784  0.8521
O  0.2327  0.2272  0.3476
O  0.2353  0.9995  0.0857
O  0.2420  0.1351  0.8654
O  0.2442  0.8024  0.5861
O  0.2924  0.1023  0.3951
O  0.2919  0.7031  0.8964
O  0.4124  0.9440  0.4773
O  0.4141  0.8614  0.9759
O  0.5859  0.3614  0.0241
O  0.5876  0.4440  0.5227
O  0.7081  0.2031  0.1036
O  0.7076  0.6023  0.6049
O  0.7558  0.3024  0.4139
O  0.7580  0.6351  0.1346
O  0.7647  0.4995  0.9143
O  0.7673  0.7272  0.6524
O  0.7716  0.0784  0.1479
O  0.8612  0.9134  0.1988
O  0.8625  0.8914  0.6954
O  0.8935  0.0091  0.5084
O  0.8951  0.7963  0.0096

Summary:
As for the calculated formation energy: -1498 meV/atom. The space group is P2_1.

***

Density functional theory data (PBE+U) for an optimized crystal structure of FePH5CO8.

a = 7.7414 Å, b = 10.6209 Å, c = 10.0808 Å
α = 90.00°, β = 103.35°, γ = 90.00°
Positions (direct):
Fe  0.1170  0.1264  0.3735
Fe  0.1170  0.3736  0.8735
Fe  0.8830  0.6264  0.1265
Fe  0.8830  0.8736  0.6265
P  0.0022  0.6895  0.8500
P  0.0022  0.8105  0.3500
P  0.9978  0.1895  0.6500
P  0.9978  0.3105  0.1500
H  0.0370  0.0908  0.8562
H  0.0370  0.4092  0.3562
H  0.1727  0.6134  0.3617
H  0.1727  0.8866  0.8617
H  0.3142  0.0704  0.6197
H  0.3142  0.4296  0.1197
H  0.3386  0.5187  0.5950
H  0.3386  0.9813  0.0950
H  0.4536  0.1866  0.3434
H  0.4536  0.3134  0.8434
H  0.5464  0.6866  0.1566
H  0.5464  0.8134  0.6566
H  0.6614  0.0187  0.9050
H  0.6614  0.4813  0.4050
H  0.6858  0.5704  0.8803
H  0.6858  0.9296  0.3803
H  0.8273  0.1134  0.1383
H  0.8273  0.3866  0.6383
H  0.9630  0.5908  0.6438
H  0.9630  0.9092  0.1438
C  0.4962  0.5290  0.0598
C  0.4962  0.9710  0.5598
C  0.5038  0.0290  0.4402
C  0.5038  0.4710  0.9402
O  0.0389  0.1587  0.1840
O  0.0389  0.3413  0.6840
O  0.0699  0.5420  0.8709
O  0.0699  0.9580  0.3709
O  0.0729  0.1690  0.8192
O  0.0729  0.3310  0.3192
O  0.1467  0.1737  0.5658
O  0.1467  0.3263  0.0658
O  0.2153  0.7190  0.9270
O  0.2153  0.7810  0.4270
O  0.2877  0.6547  0.4085
O  0.2877  0.8453  0.9085
O  0.4017  0.1355  0.4055
O  0.4017  0.3645  0.9055
O  0.4105  0.0068  0.6534
O  0.4105  0.4932  0.1534
O  0.5895  0.5068  0.8466
O  0.5895  0.9932  0.3466
O  0.5983  0.6355  0.0945
O  0.5983  0.8645  0.5945
O  0.7123  0.1547  0.0915
O  0.7123  0.3453  0.5915
O  0.7847  0.2190  0.5730
O  0.7847  0.2810  0.0730
O  0.8533  0.6737  0.9342
O  0.8533  0.8263  0.4342
O  0.9271  0.6690  0.6808
O  0.9271  0.8310  0.1808
O  0.9301  0.0420  0.6291
O  0.9301  0.4580  0.1291
O  0.9611  0.6587  0.3160
O  0.9611  0.8413  0.8160

Summary:
As for the calculated formation energy: -1096 meV/atom. The space group is P2_1/c.

***

Density functional theory data (PBE+U) for an optimized crystal structure of FePH5CO8.

a = 7.3636 Å, b = 9.4021 Å, c = 9.5841 Å
α = 90.00°, β = 102.93°, γ = 90.00°
Positions (direct):
Fe  0.1882  0.1785  0.4593
Fe  0.1882  0.3215  0.9593
Fe  0.8118  0.6785  0.0407
Fe  0.8118  0.8215  0.5407
P  0.0308  0.6126  0.7910
P  0.0308  0.8874  0.2910
P  0.9692  0.1126  0.7090
P  0.9692  0.3874  0.2090
H  0.2034  0.6572  0.4517
H  0.2034  0.8428  0.9517
H  0.2621  0.6504  0.6836
H  0.2621  0.8496  0.1836
H  0.2899  0.5086  0.5064
H  0.2899  0.9914  0.0064
H  0.4096  0.1735  0.1914
H  0.4096  0.3265  0.6914
H  0.4969  0.6634  0.4464
H  0.4969  0.8366  0.9464
H  0.5031  0.1634  0.0536
H  0.5031  0.3366  0.5536
H  0.5904  0.6735  0.3086
H  0.5904  0.8265  0.8086
H  0.7101  0.0086  0.9936
H  0.7101  0.4914  0.4936
H  0.7379  0.1504  0.8164
H  0.7379  0.3496  0.3164
H  0.7966  0.1572  0.0483
H  0.7966  0.3428  0.5483
C  0.4717  0.5323  0.0657
C  0.4717  0.9677  0.5657
C  0.5283  0.0323  0.4343
C  0.5283  0.4677  0.9343
O  0.0083  0.1968  0.5806
O  0.0083  0.3032  0.0806
O  0.0417  0.0486  0.3172
O  0.0417  0.4514  0.8172
O  0.1125  0.1460  0.8485
O  0.1125  0.3540  0.3485
O  0.2310  0.6694  0.7790
O  0.2310  0.8306  0.2790
O  0.3087  0.6121  0.5188
O  0.3087  0.8879  0.0188
O  0.3271  0.0158  0.5978
O  0.3271  0.4842  0.0978
O  0.3836  0.1792  0.0850
O  0.3836  0.3208  0.5850
O  0.4230  0.1306  0.3695
O  0.4230  0.3694  0.8695
O  0.5770  0.6306  0.1305
O  0.5770  0.8694  0.6305
O  0.6164  0.6792  0.4150
O  0.6164  0.8208  0.9150
O  0.6729  0.5158  0.9022
O  0.6729  0.9842  0.4022
O  0.6913  0.1121  0.9812
O  0.6913  0.3879  0.4812
O  0.7690  0.1694  0.7210
O  0.7690  0.3306  0.2210
O  0.8875  0.6460  0.6515
O  0.8875  0.8540  0.1515
O  0.9583  0.5486  0.1828
O  0.9583  0.9514  0.6828
O  0.9917  0.6968  0.9194
O  0.9917  0.8032  0.4194

Summary:
As for the calculated formation energy: -1709 meV/atom. The space group is P2_1/c.

***

Computed spin magnetization (μB per formula unit) in order:
4.0, 12.0, 6.0, 5.0